Entry 1:
An optimized crystal structure of CuTeBr. Source: the Materials Project, functional GGA-PBE.

The volume is 28.6 A^3/atom. The energy of formation is -0.472 eV/atom. For the total magnetization, the calculation gives 0.02 μB/f.u. The theoretical density is 5.2 Mg/m³.

The structure belongs to space group Fddd (No. 70, origin choice 2); the cell edges are 5.167, 22.892 and 23.235 Å and the angles 90.00°, 90.00° and 90.00°. The distinct sites, in fractional coordinates, are Cu at (0.125, 0.125, 0.125), Cu at (0.125, 0.125, 0.625), Cu at (0.125, 0.261, 0.125), Te at (0.027, 0.068, 0.427) and Br at (0.125, 0.309, 0.310).


Entry 2:
An optimized crystal structure of DyBr3. Source: the Materials Project, functional GGA-PBE.

The volume is 46.5 A^3/atom. The energy of formation is -2.253 eV/atom. The theoretical density is 3.6 Mg/m³.

The structure belongs to space group P6_3/mmc (No. 194); the cell edges are 10.7092, 10.7092 and 3.7439 Å and the angles 90.00°, 90.00° and 120.00°. The distinct sites, in fractional coordinates, are Dy at (0.3333, 0.6667, 0.2500) and Br at (0.2191, 0.4382, 0.7500).


Entry 3:
An optimized crystal structure of KDyBr3. Source: the Materials Project, functional GGA-PBE.

The volume is 34.1 A^3/atom. The energy of formation is -1.869 eV/atom. For the total magnetization, the calculation gives 0.99 μB/f.u. The theoretical density is 4.3 Mg/m³.

The structure belongs to space group Pnma (No. 62); the cell edges are 8.073, 11.057 and 7.644 Å and the angles 90.00°, 90.00° and 90.00°. The distinct sites, in fractional coordinates, are K at (0.073, 0.250, 0.029), Dy at (0.000, 0.000, 0.500), Br at (0.026, 0.750, 0.397) and Br at (0.204, 0.546, 0.801).


Entry 4:
An optimized crystal structure of Rb2LiDyBr6. Source: the Materials Project, functional GGA-PBE.

The volume is 34.0 A^3/atom. The energy of formation is -2.116 eV/atom. For the total magnetization, the calculation gives 0.00 μB/f.u. The theoretical density is 4.0 Mg/m³.

The structure belongs to space group Fm-3m (No. 225); the cell edges are 11.082, 11.082 and 11.082 Å and the angles 90.00°, 90.00° and 90.00°. The distinct sites, in fractional coordinates, are Rb at (0.250, 0.250, 0.250), Li at (0.000, 0.000, 0.000), Dy at (0.000, 0.000, 0.500) and Br at (0.000, 0.000, 0.248).


no.,raw total energy (eV/cell)
1,-312.319
2,-33.856
3,-73.477
4,-145.028